## Li6TiFe5O12 (PBE+U)

Data for crystalline Li6TiFe5O12 at its relaxed geometry.

a = 5.040 Å, b = 5.040 Å, c = 10.114 Å
α = 93.22°, β = 93.22°, γ = 118.50°
Positions (direct):
Li (0.116, 0.116, 0.256)
Li (0.207, 0.554, 0.743)
Li (0.446, 0.793, 0.257)
Li (0.554, 0.207, 0.743)
Li (0.793, 0.446, 0.257)
Li (0.884, 0.884, 0.744)
Ti (0.500, 0.500, 0.500)
Fe (0.000, 0.000, 0.000)
Fe (0.165, 0.835, 0.500)
Fe (0.331, 0.669, 0.000)
Fe (0.669, 0.331, 0.000)
Fe (0.835, 0.165, 0.500)
O (0.075, 0.722, 0.118)
O (0.154, 0.473, 0.384)
O (0.210, 0.210, 0.616)
O (0.278, 0.925, 0.882)
O (0.390, 0.390, 0.107)
O (0.473, 0.154, 0.384)
O (0.527, 0.846, 0.616)
O (0.610, 0.610, 0.893)
O (0.722, 0.075, 0.118)
O (0.790, 0.790, 0.384)
O (0.846, 0.527, 0.616)
O (0.925, 0.278, 0.882)

## Properties
The calculation puts the volume at 9.349 Å³ per atom. The calculation puts the energy of formation from the pure elements at -2058 meV per atom. The value obtained for the magnetization is 24.00 μB per cell. The polymorph energy (0 for the lowest one) comes out at 1.33 eV per formula unit.

## Li2TiFe3O8 (PBE+U)

Data for crystalline Li2TiFe3O8 at its relaxed geometry.

a = 8.412 Å, b = 8.431 Å, c = 8.447 Å
α = 90.01°, β = 90.04°, γ = 90.06°
Positions (direct):
Li (0.000, 0.000, 0.000)
Li (0.005, 0.501, 0.504)
Li (0.249, 0.747, 0.750)
Li (0.256, 0.249, 0.251)
Li (0.499, 0.497, 0.004)
Li (0.506, 0.999, 0.500)
Li (0.748, 0.750, 0.252)
Li (0.758, 0.247, 0.752)
Ti (0.130, 0.877, 0.376)
Ti (0.377, 0.122, 0.874)
Ti (0.625, 0.621, 0.633)
Ti (0.880, 0.377, 0.132)
Fe (0.123, 0.123, 0.629)
Fe (0.126, 0.372, 0.878)
Fe (0.134, 0.622, 0.125)
Fe (0.371, 0.376, 0.626)
Fe (0.378, 0.625, 0.379)
Fe (0.381, 0.875, 0.129)
Fe (0.622, 0.373, 0.375)
Fe (0.628, 0.127, 0.124)
Fe (0.631, 0.878, 0.874)
Fe (0.873, 0.119, 0.376)
Fe (0.877, 0.871, 0.624)
Fe (0.883, 0.625, 0.875)
O (0.108, 0.881, 0.614)
O (0.113, 0.378, 0.110)
O (0.120, 0.105, 0.386)
O (0.121, 0.603, 0.888)
O (0.133, 0.362, 0.649)
O (0.136, 0.863, 0.145)
O (0.142, 0.140, 0.872)
O (0.151, 0.633, 0.370)
O (0.354, 0.364, 0.870)
O (0.363, 0.857, 0.373)
O (0.369, 0.134, 0.645)
O (0.373, 0.636, 0.148)
O (0.384, 0.395, 0.388)
O (0.385, 0.893, 0.885)
O (0.393, 0.620, 0.611)
O (0.398, 0.116, 0.114)
O (0.604, 0.616, 0.387)
O (0.613, 0.122, 0.893)
O (0.621, 0.392, 0.616)
O (0.622, 0.899, 0.115)
O (0.634, 0.135, 0.354)
O (0.636, 0.634, 0.860)
O (0.643, 0.355, 0.130)
O (0.646, 0.861, 0.633)
O (0.859, 0.137, 0.133)
O (0.863, 0.643, 0.630)
O (0.870, 0.364, 0.359)
O (0.871, 0.864, 0.853)
O (0.884, 0.100, 0.616)
O (0.886, 0.606, 0.116)
O (0.892, 0.876, 0.395)
O (0.900, 0.381, 0.888)

## Properties
The calculation puts the volume at 10.698 Å³ per atom. The calculation puts the energy of formation from the pure elements at -2135 meV per atom. The value obtained for the magnetization is 56.00 μB per cell. The polymorph energy (0 for the lowest one) comes out at 0.24 eV per formula unit.

## Li2TiFe2O5 (PBE+U)

Data for crystalline Li2TiFe2O5 at its relaxed geometry.

a = 4.215 Å, b = 6.116 Å, c = 7.998 Å
α = 103.59°, β = 105.26°, γ = 90.11°
Positions (direct):
Li (0.000, 0.000, 0.000)
Li (0.000, 0.500, 0.000)
Li (0.192, 0.108, 0.391)
Li (0.808, 0.892, 0.609)
Ti (0.437, 0.187, 0.798)
Ti (0.563, 0.813, 0.202)
Fe (0.205, 0.619, 0.405)
Fe (0.400, 0.695, 0.801)
Fe (0.600, 0.305, 0.199)
Fe (0.795, 0.381, 0.595)
O (0.110, 0.321, 0.219)
O (0.117, 0.809, 0.192)
O (0.305, 0.362, 0.619)
O (0.306, 0.918, 0.616)
O (0.500, 0.000, 0.000)
O (0.500, 0.500, 0.000)
O (0.694, 0.082, 0.384)
O (0.695, 0.638, 0.381)
O (0.883, 0.191, 0.808)
O (0.890, 0.679, 0.781)

## Properties
The calculation puts the volume at 9.645 Å³ per atom. The calculation puts the energy of formation from the pure elements at -2309 meV per atom. The value obtained for the magnetization is 16.00 μB per cell. The polymorph energy (0 for the lowest one) comes out at 0.35 eV per formula unit.

## Li2Ti2FeO6 (PBE+U)

Data for crystalline Li2Ti2FeO6 at its relaxed geometry.

a = 5.221 Å, b = 5.221 Å, c = 10.410 Å
α = 90.00°, β = 90.00°, γ = 59.32°
Positions (direct):
Li (0.174, 0.326, 0.250)
Li (0.326, 0.174, 0.750)
Li (0.674, 0.826, 0.250)
Li (0.826, 0.674, 0.750)
Ti (0.160, 0.160, 0.000)
Ti (0.340, 0.340, 0.500)
Ti (0.660, 0.660, 0.500)
Ti (0.840, 0.840, 0.000)
Fe (0.000, 0.000, 0.500)
Fe (0.500, 0.500, 0.000)
O (0.002, 0.366, 0.607)
O (0.134, 0.498, 0.893)
O (0.143, 0.857, 0.100)
O (0.357, 0.643, 0.600)
O (0.366, 0.002, 0.393)
O (0.498, 0.134, 0.107)
O (0.502, 0.866, 0.893)
O (0.634, 0.998, 0.607)
O (0.643, 0.357, 0.400)
O (0.857, 0.143, 0.900)
O (0.866, 0.502, 0.107)
O (0.998, 0.634, 0.393)

## Properties
The calculation puts the volume at 11.093 Å³ per atom. The calculation puts the energy of formation from the pure elements at -2772 meV per atom. The value obtained for the magnetization is 8.00 μB per cell.

> Number 4 is which compound?

Li2Ti2FeO6

> Which value of magnetization does entry 3 give?

16.00 μB per cell

> Among the records above, which one has the highest magnetization?

Li2TiFe3O8

> Look up the volume of the second one.

10.698 Å³ per atom